Material: Ce2Ga12Cu
Method: DFT, meta-GGA r2SCAN
State: relaxed

Cell: 6.1155 6.1155 15.1870 Å, 90.00 90.00 90.00°
Fractional positions:
1 Ce 0.2500 0.7500 0.2443
2 Ce 0.2500 0.7500 0.7557
3 Ce 0.7500 0.2500 0.2443
4 Ce 0.7500 0.2500 0.7557
5 Ga 0.9999 0.0001 0.0852
6 Ga 0.0001 0.9999 0.9148
7 Ga 0.0001 0.5001 0.0852
8 Ga 0.9999 0.4999 0.9148
9 Ga 0.0725 0.5725 0.4279
10 Ga 0.0725 0.9275 0.5721
11 Ga 0.2500 0.2500 0.1789
12 Ga 0.2500 0.2500 0.3402
13 Ga 0.2500 0.2500 0.6598
14 Ga 0.2500 0.2500 0.8211
15 Ga 0.4275 0.5725 0.5721
16 Ga 0.4275 0.9275 0.4279
17 Ga 0.4999 0.9999 0.0852
18 Ga 0.5001 0.0001 0.9148
19 Ga 0.5001 0.4999 0.0852
20 Ga 0.4999 0.5001 0.9148
21 Ga 0.5725 0.0725 0.5721
22 Ga 0.5725 0.4275 0.4279
23 Ga 0.7500 0.7500 0.1789
24 Ga 0.7500 0.7500 0.3402
25 Ga 0.7500 0.7500 0.6598
26 Ga 0.7500 0.7500 0.8211
27 Ga 0.9275 0.0725 0.4279
28 Ga 0.9275 0.4275 0.5721
29 Cu 0.2500 0.7500 0.0000
30 Cu 0.7500 0.2500 0.0000

Values from the calculation:
Symmetry: P4/nbm, No. 125
Crystal system: tetragonal
DFT formation energy (eV/atom): -0.3937

=====

Material: PmLuTl2
Method: DFT, meta-GGA r2SCAN
State: relaxed

Cell: 5.3523 5.3523 5.3523 Å, 60.00 60.00 60.00°
Fractional positions:
1 Pm 0.0000 0.0000 0.0000
2 Lu 0.5000 0.5000 0.5000
3 Tl 0.2500 0.2500 0.2500
4 Tl 0.7500 0.7500 0.7500

Values from the calculation:
Symmetry: Fm-3m, No. 225
Crystal system: cubic
DFT formation energy (eV/atom): -0.4182

=====

Please write out number 2 again, unchanged.
Material: PmLuTl2
Method: DFT, meta-GGA r2SCAN
State: relaxed

Cell: 5.3523 5.3523 5.3523 Å, 60.00 60.00 60.00°
Fractional positions:
1 Pm 0.0000 0.0000 0.0000
2 Lu 0.5000 0.5000 0.5000
3 Tl 0.2500 0.2500 0.2500
4 Tl 0.7500 0.7500 0.7500

Values from the calculation:
Symmetry: Fm-3m, No. 225
Crystal system: cubic
DFT formation energy (eV/atom): -0.4182